# 1
This record from the Materials Project describes a relaxed Mg14CoCuO16 crystal. The functional is PBE with a Hubbard U.

Spin magnetization ... 2.65 Bohr magnetons per cell
Crystal system ... orthorhombic
Polymorph energy (0 for the lowest one) ... 0.000 eV/atom
Space-group type ... No. 47

POSCAR file:
```
Mg14CoCuO16
1.0
4.256 0.000 0.000
0.000 8.504 0.000
0.000 0.000 8.527
Mg Co Cu O
14 1 1 16
Direct
0.000 0.000 0.000
0.000 0.000 0.500
0.000 0.251 0.250
0.000 0.251 0.750
0.000 0.749 0.250
0.000 0.749 0.750
0.500 0.000 0.250
0.500 0.000 0.750
0.500 0.252 0.000
0.500 0.252 0.500
0.500 0.500 0.249
0.500 0.500 0.751
0.500 0.748 0.000
0.500 0.748 0.500
0.000 0.500 0.000
0.000 0.500 0.500
0.000 0.000 0.250
0.000 0.000 0.750
0.000 0.248 0.000
0.000 0.249 0.500
0.000 0.500 0.240
0.000 0.500 0.760
0.000 0.751 0.500
0.000 0.752 0.000
0.500 0.000 0.000
0.500 0.000 0.500
0.500 0.251 0.250
0.500 0.251 0.750
0.500 0.500 0.000
0.500 0.500 0.500
0.500 0.749 0.250
0.500 0.749 0.750
```

# 2
This record from the Materials Project describes a relaxed Mg6CoCuO8 crystal. The functional is PBE with a Hubbard U.

Spin magnetization ... 3.78 Bohr magnetons per cell
Crystal system ... tetragonal
Polymorph energy (0 for the lowest one) ... 0.023 eV/atom
Space-group type ... No. 123

POSCAR file:
```
Mg6CoCuO8
1.0
4.250 0.000 0.000
0.000 4.250 0.000
0.000 0.000 8.531
Mg Co Cu O
6 1 1 8
Direct
0.000 0.000 0.000
0.000 0.500 0.252
0.000 0.500 0.748
0.500 0.000 0.252
0.500 0.000 0.748
0.500 0.500 0.000
0.000 0.000 0.500
0.500 0.500 0.500
0.000 0.000 0.248
0.000 0.000 0.752
0.000 0.500 0.000
0.000 0.500 0.500
0.500 0.000 0.000
0.500 0.000 0.500
0.500 0.500 0.249
0.500 0.500 0.751
```

# 3
This record from the Materials Project describes a relaxed MgCo4Cu3O12 crystal. The functional is PBE with a Hubbard U.

Spin magnetization ... 9.00 Bohr magnetons per cell
Crystal system ... triclinic
Polymorph energy (0 for the lowest one) ... 0.034 eV/atom
Space-group type ... No. 1

POSCAR file:
```
MgCo4Cu3O12
1.0
6.227 0.000 0.000
-2.071 5.896 0.000
-2.091 -2.933 5.157
Mg Co Cu O
1 4 3 12
Direct
0.000 0.000 0.000
0.043 0.072 0.537
0.044 0.563 0.037
0.534 0.562 0.527
0.542 0.072 0.037
0.041 0.570 0.537
0.542 0.068 0.536
0.545 0.571 0.035
0.180 0.391 0.871
0.216 0.936 0.733
0.219 0.555 0.351
0.342 0.906 0.171
0.357 0.248 0.532
0.526 0.376 0.205
0.570 0.770 0.868
0.729 0.888 0.544
0.741 0.230 0.900
0.865 0.206 0.345
0.865 0.592 0.727
0.911 0.756 0.196
```

# 4
This record from the Materials Project describes a relaxed Mg14CoCuO16 crystal. The functional is PBE with a Hubbard U.

Spin magnetization ... 2.67 Bohr magnetons per cell
Crystal system ... tetragonal
Polymorph energy (0 for the lowest one) ... 0.005 eV/atom
Space-group type ... No. 123

POSCAR file:
```
Mg14CoCuO16
1.0
8.512 0.000 0.000
0.000 8.512 0.000
0.000 0.000 4.255
Mg Co Cu O
14 1 1 16
Direct
0.000 0.248 0.000
0.000 0.500 0.500
0.000 0.752 0.000
0.248 0.000 0.000
0.250 0.500 0.000
0.251 0.251 0.500
0.251 0.749 0.500
0.500 0.000 0.500
0.500 0.250 0.000
0.500 0.750 0.000
0.749 0.251 0.500
0.749 0.749 0.500
0.750 0.500 0.000
0.752 0.000 0.000
0.000 0.000 0.500
0.500 0.500 0.500
0.000 0.000 0.000
0.000 0.250 0.500
0.000 0.500 0.000
0.000 0.750 0.500
0.246 0.500 0.500
0.250 0.000 0.500
0.251 0.251 0.000
0.251 0.749 0.000
0.500 0.000 0.000
0.500 0.246 0.500
0.500 0.500 0.000
0.500 0.754 0.500
0.749 0.251 0.000
0.749 0.749 0.000
0.750 0.000 0.500
0.754 0.500 0.500
```

# 5
This record from the Materials Project describes a relaxed MgCo5CuO8 crystal. The functional is PBE with a Hubbard U.

Spin magnetization ... 1.41 Bohr magnetons per cell
Crystal system ... triclinic
Polymorph energy (0 for the lowest one) ... 0.051 eV/atom
Space-group type ... No. 2

POSCAR file:
```
MgCo5CuO8
1.0
5.855 0.000 0.000
-2.875 5.113 0.000
-0.159 -3.209 5.218
Mg Co Cu O
1 5 1 8
Direct
0.000 0.000 0.000
0.000 0.500 0.000
0.137 0.295 0.467
0.500 0.000 0.000
0.500 0.000 0.500
0.863 0.705 0.533
0.500 0.500 0.000
0.222 0.483 0.233
0.255 0.012 0.254
0.256 0.020 0.760
0.267 0.549 0.826
0.733 0.451 0.174
0.744 0.980 0.240
0.745 0.988 0.746
0.778 0.517 0.767
```

# 6
This record from the Materials Project describes a relaxed MgCo5CuO8 crystal. The functional is PBE with a Hubbard U.

Spin magnetization ... 2.01 Bohr magnetons per cell
Crystal system ... triclinic
Polymorph energy (0 for the lowest one) ... 0.000 eV/atom
Space-group type ... No. 2

POSCAR file:
```
MgCo5CuO8
1.0
5.793 0.000 0.000
-0.013 5.948 0.000
-2.894 -2.507 4.559
Mg Co Cu O
1 5 1 8
Direct
0.000 0.000 0.000
0.000 0.000 0.500
0.149 0.467 0.297
0.500 0.000 0.000
0.500 0.000 0.500
0.851 0.533 0.703
0.500 0.500 0.000
0.222 0.238 0.444
0.236 0.250 0.977
0.258 0.749 0.024
0.278 0.804 0.557
0.722 0.196 0.443
0.742 0.251 0.976
0.764 0.750 0.023
0.778 0.762 0.556
```

# 7
This record from the Materials Project describes a relaxed MgCo4Cu3O12 crystal. The functional is PBE with a Hubbard U.

Spin magnetization ... 6.99 Bohr magnetons per cell
Crystal system ... cubic
Polymorph energy (0 for the lowest one) ... 0.000 eV/atom
Space-group type ... No. 204

POSCAR file:
```
MgCo4Cu3O12
1.0
-3.602 3.602 3.602
3.602 -3.602 3.602
3.602 3.602 -3.602
Mg Co Cu O
1 4 3 12
Direct
0.000 0.000 0.000
0.000 0.000 0.500
0.000 0.500 0.000
0.500 0.000 0.000
0.500 0.500 0.500
0.000 0.500 0.500
0.500 0.000 0.500
0.500 0.500 0.000
0.134 0.828 0.306
0.172 0.306 0.478
0.172 0.694 0.866
0.306 0.134 0.828
0.306 0.478 0.172
0.478 0.172 0.306
0.522 0.828 0.694
0.694 0.522 0.828
0.694 0.866 0.172
0.828 0.306 0.134
0.828 0.694 0.522
0.866 0.172 0.694
```

# 8
This record from the Materials Project describes a relaxed Mg6CoCuO8 crystal. The functional is PBE with a Hubbard U.

Spin magnetization ... 0.66 Bohr magnetons per cell
Crystal system ... tetragonal
Polymorph energy (0 for the lowest one) ... 0.000 eV/atom
Space-group type ... No. 123

POSCAR file:
```
Mg6CoCuO8
1.0
4.205 0.000 0.000
0.000 4.205 0.000
0.000 0.000 8.611
Mg Co Cu O
6 1 1 8
Direct
0.000 0.000 0.000
0.000 0.000 0.500
0.000 0.500 0.248
0.000 0.500 0.752
0.500 0.000 0.248
0.500 0.000 0.752
0.500 0.500 0.000
0.500 0.500 0.500
0.000 0.000 0.251
0.000 0.000 0.749
0.000 0.500 0.000
0.000 0.500 0.500
0.500 0.000 0.000
0.500 0.000 0.500
0.500 0.500 0.229
0.500 0.500 0.771
```

# 9
This record from the Materials Project describes a relaxed Co25Cu11O48 crystal. The functional is PBE with a Hubbard U.

Spin magnetization ... 14.00 Bohr magnetons per cell
Final energy ... -5.808 eV/atom
Crystal system ... monoclinic
Space-group type ... No. 8

POSCAR file:
```
Co25Cu11O48
1.0
4.962 -8.626 0.000
4.962 8.626 0.000
-3.271 0.000 9.371
Co Cu O
25 11 48
Direct
0.000 0.000 0.000
0.083 0.418 0.750
0.084 0.917 0.750
0.086 0.919 0.251
0.169 0.835 0.500
0.251 0.751 0.749
0.252 0.252 0.249
0.253 0.753 0.249
0.335 0.669 0.999
0.416 0.582 0.748
0.418 0.083 0.750
0.419 0.585 0.248
0.500 0.500 0.498
0.582 0.416 0.748
0.585 0.419 0.248
0.585 0.920 0.249
0.669 0.335 0.999
0.749 0.749 0.749
0.751 0.251 0.749
0.753 0.253 0.249
0.814 0.814 0.437
0.835 0.169 0.500
0.917 0.084 0.750
0.919 0.086 0.251
0.920 0.585 0.249
0.023 0.355 0.062
0.149 0.482 0.437
0.187 0.187 0.565
0.313 0.313 0.935
0.355 0.023 0.062
0.482 0.149 0.437
0.522 0.855 0.562
0.647 0.980 0.938
0.689 0.689 0.060
0.855 0.522 0.562
0.980 0.647 0.938
0.026 0.213 0.632
0.046 0.193 0.132
0.052 0.719 0.146
0.064 0.730 0.632
0.104 0.104 0.867
0.120 0.120 0.355
0.125 0.643 0.368
0.142 0.624 0.868
0.193 0.046 0.132
0.213 0.026 0.632
0.216 0.549 0.645
0.231 0.565 0.132
0.273 0.940 0.368
0.285 0.951 0.854
0.289 0.475 0.868
0.310 0.458 0.365
0.361 0.879 0.632
0.380 0.861 0.131
0.385 0.385 0.144
0.395 0.395 0.630
0.439 0.771 0.866
0.453 0.786 0.353
0.458 0.310 0.365
0.475 0.289 0.868
0.528 0.715 0.129
0.543 0.691 0.630
0.549 0.216 0.645
0.565 0.231 0.132
0.605 0.605 0.366
0.616 0.616 0.852
0.624 0.142 0.868
0.643 0.125 0.368
0.691 0.543 0.630
0.715 0.528 0.129
0.719 0.052 0.146
0.730 0.064 0.632
0.771 0.439 0.866
0.786 0.453 0.353
0.790 0.977 0.369
0.807 0.955 0.868
0.861 0.380 0.131
0.879 0.361 0.632
0.883 0.883 0.646
0.897 0.897 0.134
0.940 0.273 0.368
0.951 0.285 0.854
0.955 0.807 0.868
0.977 0.790 0.369
```

# 10
This record from the Materials Project describes a relaxed Co21Cu3O32 crystal. The functional is PBE with a Hubbard U.

Spin magnetization ... 18.00 Bohr magnetons per cell
Final energy ... -6.006 eV/atom
Crystal system ... trigonal
Space-group type ... No. 160

POSCAR file:
```
Co21Cu3O32
1.0
2.881 1.663 18.795
-2.881 1.663 18.795
0.000 -3.326 18.795
Co Cu O
21 3 32
Direct
0.000 0.000 0.000
0.031 0.531 0.531
0.032 0.032 0.531
0.032 0.531 0.032
0.063 0.063 0.063
0.156 0.156 0.156
0.250 0.250 0.250
0.281 0.281 0.781
0.281 0.781 0.281
0.282 0.781 0.781
0.406 0.406 0.406
0.531 0.031 0.531
0.531 0.032 0.032
0.531 0.531 0.031
0.562 0.562 0.562
0.656 0.656 0.656
0.750 0.750 0.750
0.781 0.281 0.281
0.781 0.282 0.781
0.781 0.781 0.282
0.906 0.906 0.906
0.313 0.313 0.313
0.500 0.500 0.500
0.813 0.813 0.813
0.077 0.077 0.631
0.077 0.631 0.077
0.097 0.097 0.097
0.131 0.577 0.577
0.182 0.736 0.736
0.216 0.216 0.216
0.236 0.236 0.682
0.236 0.682 0.236
0.326 0.326 0.883
0.326 0.883 0.326
0.348 0.348 0.348
0.381 0.827 0.827
0.430 0.986 0.986
0.465 0.465 0.465
0.486 0.486 0.930
0.486 0.930 0.486
0.577 0.131 0.577
0.577 0.577 0.131
0.597 0.597 0.597
0.631 0.077 0.077
0.682 0.236 0.236
0.716 0.716 0.716
0.736 0.182 0.736
0.736 0.736 0.182
0.827 0.381 0.827
0.827 0.827 0.381
0.848 0.848 0.848
0.883 0.326 0.326
0.930 0.486 0.486
0.965 0.965 0.965
0.986 0.430 0.986
0.986 0.986 0.430
```

# 11
This record from the Materials Project describes a relaxed CoCu2O6 crystal. The functional is PBE with a Hubbard U.

Spin magnetization ... 5.00 Bohr magnetons per cell
Final energy ... -4.848 eV/atom
Crystal system ... orthorhombic
Space-group type ... No. 69

POSCAR file:
```
CoCu2O6
1.0
0.000 4.122 5.006
3.208 0.000 5.006
3.208 4.122 0.000
Co Cu O
1 2 6
Direct
0.000 0.000 0.000
0.332 0.668 0.332
0.668 0.332 0.668
0.046 0.722 0.278
0.278 0.954 0.046
0.382 0.382 0.618
0.618 0.618 0.382
0.722 0.046 0.954
0.954 0.278 0.722
```

# 12
This record from the Materials Project describes a relaxed CoCuO2 crystal. The functional is PBE with a Hubbard U.

Spin magnetization ... 2.01 Bohr magnetons per cell
Final energy ... -5.509 eV/atom
Crystal system ... trigonal
Space-group type ... No. 166

POSCAR file:
```
CoCuO2
1.0
1.434 0.828 5.666
-1.434 0.828 5.666
0.000 -1.656 5.666
Co Cu O
1 1 2
Direct
0.000 0.000 0.000
0.500 0.500 0.500
0.391 0.391 0.391
0.609 0.609 0.609
```

# 13
This record from the Materials Project describes a relaxed Co3CuP4O16 crystal. The functional is PBE with a Hubbard U.

Spin magnetization ... 7.98 Bohr magnetons per cell
Final energy ... -6.568 eV/atom
Crystal system ... monoclinic
Space-group type ... No. 6

POSCAR file:
```
Co3CuP4O16
1.0
4.788 0.000 0.000
0.000 5.828 0.000
-0.042 0.000 9.834
Co Cu P O
3 1 4 16
Direct
0.000 0.000 0.000
0.111 0.500 0.560
0.496 0.500 0.059
0.613 0.000 0.499
0.130 0.000 0.682
0.469 0.000 0.186
0.641 0.500 0.378
0.965 0.500 0.872
0.212 0.000 0.833
0.273 0.208 0.608
0.273 0.792 0.608
0.281 0.500 0.892
0.319 0.205 0.109
0.319 0.795 0.109
0.323 0.500 0.395
0.389 0.000 0.337
0.710 0.500 0.226
0.785 0.000 0.167
0.795 0.296 0.451
0.795 0.704 0.451
0.810 0.000 0.669
0.819 0.293 0.949
0.819 0.707 0.949
0.883 0.500 0.722
```

Across the entries above, mass density takes the values 3.9 4.3 5.6 3.9 5.4 5.4 5.7 4.3 6.1 6.0 3.5 6.4 3.8 g/cm3, respectively.